ZnS (meta-GGA r2SCAN, relaxed); electronic total energy = -490.58 eV per cell; space-group type = P3m1; energy relative to the elements = -0.962 eV/atom; total moment = 0.0 μB/cell
1.0
3.810 0.000 0.000
-1.905 3.300 0.000
0.000 0.000 80.957
Zn S
26 26
Direct
0.000 0.000 0.000
0.000 0.000 0.077
0.000 0.000 0.192
0.000 0.000 0.269
0.000 0.000 0.423
0.000 0.000 0.538
0.000 0.000 0.654
0.000 0.000 0.769
0.000 0.000 0.885
0.333 0.667 0.039
0.333 0.667 0.154
0.333 0.667 0.308
0.333 0.667 0.385
0.333 0.667 0.500
0.333 0.667 0.577
0.333 0.667 0.731
0.333 0.667 0.808
0.333 0.667 0.923
0.667 0.333 0.116
0.667 0.333 0.231
0.667 0.333 0.346
0.667 0.333 0.462
0.667 0.333 0.615
0.667 0.333 0.692
0.667 0.333 0.846
0.667 0.333 0.962
0.000 0.000 0.029
0.000 0.000 0.106
0.000 0.000 0.221
0.000 0.000 0.298
0.000 0.000 0.452
0.000 0.000 0.567
0.000 0.000 0.683
0.000 0.000 0.798
0.000 0.000 0.913
0.333 0.667 0.067
0.333 0.667 0.183
0.333 0.667 0.337
0.333 0.667 0.414
0.333 0.667 0.529
0.333 0.667 0.606
0.333 0.667 0.760
0.333 0.667 0.837
0.333 0.667 0.952
0.667 0.333 0.144
0.667 0.333 0.260
0.667 0.333 0.375
0.667 0.333 0.490
0.667 0.333 0.644
0.667 0.333 0.721
0.667 0.333 0.875
0.667 0.333 0.990